Record 1
28
Lattice="5.721 0.000 0.000 -2.838 5.001 0.000 -0.053 -0.101 9.837" Properties=species:S:1:pos:R:3 comment="GGA+U Li6Fe3Co3O16, optimized geometry" e_form_ev_per_atom=-1.518 pbc="T T T"
Li 0.000 0.000 0.000
Li -0.026 -0.024 4.903
Li -0.082 3.212 5.999
Li -0.097 3.224 9.809
Li 2.796 1.594 1.072
Li 2.793 1.577 4.909
Fe 1.369 4.087 2.792
Fe 4.175 0.724 7.714
Fe 2.772 3.198 7.702
Co -0.060 1.605 2.803
Co -1.452 4.091 2.782
Co 1.350 0.724 7.715
O -2.798 4.978 1.794
O -1.353 2.506 1.802
O -0.082 1.430 8.716
O -1.594 4.129 8.686
O -0.172 3.218 3.865
O 1.280 0.715 3.773
O -0.091 4.760 1.760
O 1.204 2.514 1.760
O 1.468 2.279 6.696
O 2.757 0.048 6.678
O 2.792 1.436 8.803
O 1.445 4.126 8.736
O 4.338 0.717 3.773
O 2.830 3.405 3.795
O 4.076 2.283 6.663
O 5.611 -0.002 6.706

=====

Record 2
22
Lattice="2.536 -4.323 0.000 2.536 4.323 0.000 -0.158 0.000 10.121" Properties=species:S:1:pos:R:3 comment="GGA+U Li2FeCo2O6, optimized geometry" e_form_ev_per_atom=-1.603 e_above_lowest_polymorph_mev_per_atom=16 pbc="T T T"
Li 0.405 0.000 2.520
Li 1.967 -0.018 7.597
Li 2.946 -0.018 2.524
Li 4.508 0.000 7.600
Fe 2.536 2.159 0.000
Fe 2.457 -2.167 5.060
Co 2.457 3.544 5.060
Co 2.457 0.709 5.060
Co 2.536 -0.755 0.000
Co 2.536 -3.601 0.000
O 1.680 2.116 4.078
O 0.796 0.625 6.098
O 0.735 -0.653 9.072
O 1.672 0.606 1.034
O 3.234 2.116 6.043
O 1.705 -0.609 3.958
O 1.750 -2.148 0.981
O 3.242 0.606 9.087
O 3.208 -0.609 6.163
O 4.118 0.625 4.022
O 3.164 -2.148 9.140
O 4.178 -0.653 1.048

=====

Q: Number 1 is which compound?
A: Li6Fe3Co3O16